[1]
{
  "formula": "FeCoH18N6Cl6",
  "functional": "r2SCAN",
  "state": "optimized geometry",
  "lattice": [[-5.5313, 7.5462, -6.2990], [-1.6055, -7.8243, -7.9637], [-9.6977, -3.0088, 4.9112]],
  "species": ["Cl", "Cl", "Cl", "Cl", "Cl", "Cl", "Cl", "Cl", "Cl", "Cl", "Cl", "Cl", "Cl", "Cl", "Cl", "Cl", "Cl", "Cl", "Cl", "Cl", "Cl", "Cl", "Cl", "Cl", "N", "N", "N", "N", "N", "N", "N", "N", "N", "N", "N", "N", "N", "N", "N", "N", "N", "N", "N", "N", "N", "N", "N", "N", "H", "H", "H", "H", "H", "H", "H", "H", "H", "H", "H", "H", "H", "H", "H", "H", "H", "H", "H", "H", "H", "H", "H", "H", "H", "H", "H", "H", "H", "H", "H", "H", "H", "H", "H", "H", "H", "H", "H", "H", "H", "H", "H", "H", "H", "H", "H", "H", "H", "H", "H", "H", "H", "H", "H", "H", "H", "H", "H", "H", "H", "H", "H", "H", "H", "H", "H", "H", "H", "H", "H", "H", "Fe", "Fe", "Fe", "Fe", "Co", "Co", "Co", "Co"],
  "fractional_positions": [[0.6476, 0.5718, 0.8652], [0.1476, 0.5718, 0.6348], [0.3524, 0.0718, 0.6348], [0.6348, 0.1476, 0.5718], [0.9282, 0.1348, 0.1476], [0.8524, 0.0718, 0.8652], [0.6476, 0.9282, 0.3652], [0.8524, 0.4282, 0.3652], [0.5718, 0.6348, 0.1476], [0.1476, 0.9282, 0.1348], [0.3524, 0.4282, 0.1348], [0.3652, 0.6476, 0.9282], [0.1348, 0.1476, 0.9282], [0.3652, 0.8524, 0.4282], [0.5718, 0.8652, 0.6476], [0.8652, 0.8524, 0.0718], [0.6348, 0.3524, 0.0718], [0.9282, 0.3652, 0.6476], [0.8652, 0.6476, 0.5718], [0.0718, 0.6348, 0.3524], [0.4282, 0.3652, 0.8524], [0.1348, 0.3524, 0.4282], [0.0718, 0.8652, 0.8524], [0.4282, 0.1348, 0.3524], [0.3689, 0.5589, 0.4014], [0.5589, 0.4014, 0.3689], [0.8689, 0.5589, 0.0986], [0.0986, 0.8689, 0.5589], [0.0589, 0.0986, 0.6311], [0.0986, 0.6311, 0.0589], [0.9014, 0.1311, 0.4411], [0.6311, 0.4411, 0.5986], [0.5986, 0.8689, 0.9411], [0.1311, 0.4411, 0.9014], [0.4411, 0.9014, 0.1311], [0.9014, 0.3689, 0.9411], [0.9411, 0.9014, 0.3689], [0.4014, 0.3689, 0.5589], [0.3689, 0.9411, 0.9014], [0.8689, 0.9411, 0.5986], [0.1311, 0.0589, 0.4014], [0.5589, 0.0986, 0.8689], [0.6311, 0.0589, 0.0986], [0.9411, 0.5986, 0.8689], [0.5986, 0.6311, 0.4411], [0.4014, 0.1311, 0.0589], [0.4411, 0.5986, 0.6311], [0.0589, 0.4014, 0.1311], [0.6333, 0.3503, 0.5996], [0.1333, 0.1497, 0.4004], [0.6333, 0.1497, 0.0996], [0.9004, 0.1333, 0.3503], [0.7871, 0.9672, 0.5696], [0.6268, 0.0317, 0.1852], [0.8148, 0.1268, 0.4683], [0.8732, 0.5317, 0.1852], [0.5317, 0.1852, 0.8732], [0.9304, 0.2129, 0.4672], [0.1497, 0.0996, 0.6333], [0.8503, 0.5996, 0.8667], [0.2129, 0.0328, 0.4304], [0.9672, 0.5696, 0.7871], [0.2871, 0.9672, 0.9304], [0.8667, 0.8503, 0.5996], [0.6852, 0.6268, 0.4683], [0.4672, 0.9304, 0.2129], [0.8148, 0.3732, 0.9683], [0.5696, 0.7871, 0.9672], [0.4304, 0.2871, 0.5328], [0.4304, 0.2129, 0.0328], [0.0696, 0.7129, 0.0328], [0.9683, 0.8148, 0.3732], [0.8667, 0.6497, 0.0996], [0.3732, 0.5317, 0.3148], [0.3503, 0.5996, 0.6333], [0.2871, 0.5328, 0.4304], [0.2129, 0.4672, 0.9304], [0.4683, 0.8148, 0.1268], [0.9683, 0.6852, 0.8732], [0.3667, 0.8503, 0.9004], [0.8732, 0.9683, 0.6852], [0.9672, 0.9304, 0.2871], [0.5317, 0.3148, 0.3732], [0.4004, 0.1333, 0.1497], [0.3732, 0.9683, 0.8148], [0.0317, 0.3148, 0.1268], [0.5996, 0.8667, 0.8503], [0.5696, 0.7129, 0.4672], [0.0996, 0.8667, 0.6497], [0.3148, 0.1268, 0.0317], [0.0696, 0.7871, 0.5328], [0.4672, 0.5696, 0.7129], [0.7129, 0.4672, 0.5696], [0.6268, 0.4683, 0.6852], [0.5328, 0.0696, 0.7871], [0.9304, 0.2871, 0.9672], [0.6497, 0.0996, 0.8667], [0.4683, 0.6852, 0.6268], [0.1852, 0.6268, 0.0317], [0.5328, 0.4304, 0.2871], [0.0328, 0.0696, 0.7129], [0.3667, 0.6497, 0.4004], [0.0996, 0.6333, 0.1497], [0.1333, 0.3503, 0.9004], [0.0328, 0.4304, 0.2129], [0.3148, 0.3732, 0.5317], [0.1852, 0.8732, 0.5317], [0.0317, 0.1852, 0.6268], [0.7129, 0.0328, 0.0696], [0.3503, 0.9004, 0.1333], [0.4004, 0.3667, 0.6497], [0.1268, 0.0317, 0.3148], [0.5996, 0.6333, 0.3503], [0.1268, 0.4683, 0.8148], [0.6852, 0.8732, 0.9683], [0.1497, 0.4004, 0.1333], [0.7871, 0.5328, 0.0696], [0.6497, 0.4004, 0.3667], [0.9004, 0.3667, 0.8503], [0.8503, 0.9004, 0.3667], [0.5000, 0.5000, 0.0000], [0.0000, 0.5000, 0.5000], [0.5000, 0.0000, 0.5000], [0.0000, 0.0000, 0.0000], [0.0000, 0.0000, 0.5000], [0.5000, 0.0000, 0.0000], [0.5000, 0.5000, 0.5000], [0.0000, 0.5000, 0.0000]]
}

[2]
{
  "formula": "AsSeI",
  "functional": "r2SCAN",
  "state": "optimized geometry",
  "lattice": [[-0.9216, -4.0014, -1.0781], [8.3596, -2.7413, 3.0285], [4.5407, -4.3302, 12.1897]],
  "species": ["Se", "Se", "Se", "Se", "I", "I", "I", "I", "As", "As", "As", "As"],
  "fractional_positions": [[0.0704, 0.7031, 0.1925], [0.5704, 0.2969, 0.3075], [0.9296, 0.2969, 0.8075], [0.4296, 0.7031, 0.6925], [0.0150, 0.2033, 0.5771], [0.4850, 0.2033, 0.0771], [0.9850, 0.7967, 0.4229], [0.5150, 0.7967, 0.9229], [0.8307, 0.4903, 0.8629], [0.1693, 0.5097, 0.1371], [0.3307, 0.5097, 0.6371], [0.6693, 0.4903, 0.3629]]
}

[3]
{
  "formula": "Rb2PuCl5",
  "functional": "r2SCAN",
  "state": "optimized geometry",
  "lattice": [[8.1656, 0.0000, 0.0003], [0.0000, 8.9753, 0.0000], [0.0000, 0.0000, 13.1585]],
  "species": ["Cl", "Cl", "Cl", "Cl", "Cl", "Cl", "Cl", "Cl", "Cl", "Cl", "Cl", "Cl", "Cl", "Cl", "Cl", "Cl", "Cl", "Cl", "Cl", "Cl", "Pu", "Pu", "Pu", "Pu", "Rb", "Rb", "Rb", "Rb", "Rb", "Rb", "Rb", "Rb"],
  "fractional_positions": [[0.6520, 0.7500, 0.8014], [0.3355, 0.5397, 0.9283], [0.1520, 0.2500, 0.6986], [0.8355, 0.4603, 0.5718], [0.6644, 0.4604, 0.0717], [0.1154, 0.7500, 0.6781], [0.3355, 0.9604, 0.9283], [0.8480, 0.7500, 0.3014], [0.0926, 0.2500, 0.9900], [0.8355, 0.0397, 0.5718], [0.9074, 0.7500, 0.0100], [0.1646, 0.5396, 0.4282], [0.6645, 0.0397, 0.0717], [0.5924, 0.7500, 0.5100], [0.6154, 0.2500, 0.8219], [0.8846, 0.2500, 0.3219], [0.1646, 0.9603, 0.4282], [0.3480, 0.2500, 0.1986], [0.3846, 0.7500, 0.1780], [0.4076, 0.2500, 0.4900], [0.0647, 0.2500, 0.4977], [0.5647, 0.7500, 0.0023], [0.9353, 0.7500, 0.5023], [0.4353, 0.2500, 0.9976], [0.5588, 0.0059, 0.3306], [0.4412, 0.9941, 0.6694], [0.0588, 0.9941, 0.1694], [0.5588, 0.4941, 0.3306], [0.4412, 0.5059, 0.6694], [0.0588, 0.5059, 0.1694], [0.9412, 0.0059, 0.8306], [0.9412, 0.4941, 0.8306]]
}

[4]
{
  "formula": "Ca3AsCl3",
  "functional": "r2SCAN",
  "state": "optimized geometry",
  "lattice": [[5.7562, 0.0000, 0.0000], [0.0000, 5.7562, 0.0000], [0.0000, 0.0000, 5.7562]],
  "species": ["Ca", "Ca", "Ca", "Cl", "Cl", "Cl", "As"],
  "fractional_positions": [[0.5000, 0.0000, 0.0000], [0.0000, 0.0000, 0.5000], [0.0000, 0.5000, 0.0000], [0.0000, 0.5000, 0.5000], [0.5000, 0.5000, 0.0000], [0.5000, 0.0000, 0.5000], [0.0000, 0.0000, 0.0000]]
}

[5]
{
  "formula": "Nb6Pd2Se15",
  "functional": "r2SCAN",
  "state": "optimized geometry",
  "lattice": [[8.4059, -0.0229, -0.0419], [2.0456, 8.1397, -0.0262], [1.4951, 3.3354, 15.3326]],
  "species": ["Nb", "Nb", "Nb", "Nb", "Nb", "Nb", "Nb", "Nb", "Nb", "Nb", "Nb", "Nb", "Se", "Se", "Se", "Se", "Se", "Se", "Se", "Se", "Se", "Se", "Se", "Se", "Se", "Se", "Se", "Se", "Se", "Se", "Se", "Se", "Se", "Se", "Se", "Se", "Se", "Se", "Se", "Se", "Se", "Se", "Pd", "Pd", "Pd", "Pd"],
  "fractional_positions": [[0.1814, 0.2873, 0.6825], [0.8498, 0.6228, 0.6810], [0.6926, 0.7321, 0.8816], [0.6422, 0.9324, 0.1201], [0.9725, 0.6023, 0.1199], [0.3578, 0.0676, 0.8799], [0.1502, 0.3772, 0.3190], [0.0275, 0.3977, 0.8801], [0.5151, 0.9563, 0.6813], [0.8186, 0.7127, 0.3175], [0.4849, 0.0437, 0.3187], [0.3074, 0.2679, 0.1184], [0.9380, 0.8798, 0.1754], [0.8842, 0.3411, 0.6308], [0.6834, 0.6154, 0.2012], [0.8632, 0.3976, 0.3984], [0.8029, 0.9377, 0.6011], [0.1490, 0.1454, 0.0086], [0.7830, 0.9932, 0.3689], [0.1158, 0.6589, 0.3692], [0.5231, 0.1891, 0.9896], [0.9828, 0.7171, 0.7999], [0.3504, 0.9496, 0.2002], [0.4769, 0.8109, 0.0104], [0.0620, 0.1202, 0.8246], [0.0172, 0.2828, 0.2001], [0.1856, 0.5276, 0.9896], [0.5520, 0.6750, 0.6299], [0.4480, 0.3250, 0.3701], [0.2170, 0.0068, 0.6311], [0.3958, 0.7905, 0.8223], [0.4683, 0.2705, 0.6019], [0.6042, 0.2095, 0.1777], [0.3166, 0.3846, 0.7988], [0.8510, 0.8546, 0.9914], [0.1368, 0.6024, 0.6016], [0.2678, 0.5451, 0.1783], [0.7322, 0.4549, 0.8217], [0.1971, 0.0623, 0.3989], [0.5317, 0.7295, 0.3981], [0.8144, 0.4724, 0.0104], [0.6496, 0.0504, 0.7998], [0.0000, 0.5000, 0.5000], [0.5000, 0.5000, 0.0000], [0.6679, 0.8336, 0.4994], [0.3321, 0.1664, 0.5006]]
}

[6]
{
  "formula": "NbSe2",
  "functional": "r2SCAN",
  "state": "optimized geometry",
  "lattice": [[1.7579, -3.0447, 0.0000], [1.7579, 3.0447, 0.0000], [0.0000, 0.0000, 26.2036]],
  "species": ["Nb", "Nb", "Nb", "Nb", "Se", "Se", "Se", "Se", "Se", "Se", "Se", "Se"],
  "fractional_positions": [[0.0000, 0.0000, 0.0000], [0.0000, 0.0000, 0.5000], [0.0000, 0.0000, 0.7500], [0.0000, 0.0000, 0.2500], [0.3333, 0.6667, 0.6865], [0.6667, 0.3333, 0.9372], [0.3333, 0.6667, 0.8135], [0.6667, 0.3333, 0.5628], [0.3333, 0.6667, 0.0628], [0.6667, 0.3333, 0.1865], [0.3333, 0.6667, 0.4372], [0.6667, 0.3333, 0.3135]]
}

no.,formation energy from the elements (meV per atom)
1,-642.3
2,-183.3
3,-2343.2
4,-2252.9
5,-860.7
6,-959.3